Record 1
PBE PrBPd3, relaxed; volume = 17.01 Å³ per atom; calculated total energy = -5.940 eV/atom
1.0
4.3976 0.0000 0.0000
0.0000 4.3976 0.0000
0.0000 0.0000 4.3976
Pr B Pd
1 1 3
Direct
0.0000 0.0000 0.0000
0.5000 0.5000 0.5000
0.0000 0.5000 0.5000
0.5000 0.5000 0.0000
0.5000 0.0000 0.5000


Record 2
PBE MgSi2, relaxed; volume = 18.02 Å³ per atom; relative energy among the computed polymorphs = 0.094 eV/atom
1.0
6.1675 -0.0120 1.2142
-0.0080 3.9845 0.0013
-0.0544 0.0031 8.7868
Mg Si
4 8
Direct
0.8873 0.0823 0.1488
0.6127 0.0844 0.8512
0.3873 0.5845 0.6488
0.1127 0.5822 0.3512
0.1757 0.0852 0.8540
0.5670 0.5825 0.0949
0.4330 0.0817 0.4051
0.8243 0.5851 0.6460
0.3243 0.0816 0.1460
0.9330 0.5842 0.9051
0.0670 0.0850 0.5949
0.6757 0.5817 0.3540


Record 3
PBE KTmF4, relaxed; volume = 16.06 Å³ per atom; calculated total energy = -5.947 eV/atom
1.0
7.0225 -12.1634 0.0000
7.0225 12.1634 0.0000
0.0000 0.0000 10.1507
K Tm F
18 18 72
Direct
0.0452 0.7798 0.0138
0.2202 0.2653 0.6805
0.7347 0.9548 0.3471
0.0619 0.2808 0.9855
0.7192 0.7811 0.6522
0.2189 0.9381 0.3188
0.7299 0.1232 0.0108
0.8768 0.6068 0.6775
0.3932 0.2701 0.3441
0.7114 0.6077 0.9831
0.3923 0.1038 0.6498
0.8962 0.2886 0.3165
0.3887 0.9348 0.9819
0.0652 0.4539 0.6485
0.5461 0.6113 0.3152
0.3857 0.4407 0.0103
0.5593 0.9450 0.6770
0.0550 0.6143 0.3437
0.2402 0.1118 0.9969
0.8882 0.1284 0.6635
0.8716 0.7598 0.3302
0.5506 0.2697 0.9866
0.7303 0.2808 0.6533
0.7192 0.4494 0.3199
0.5727 0.7935 0.0031
0.2065 0.7792 0.6698
0.2208 0.4273 0.3364
0.8831 0.9427 0.9933
0.0573 0.9403 0.6600
0.0597 0.1169 0.3267
0.9070 0.4536 0.9908
0.5464 0.4534 0.6574
0.5466 0.0930 0.3241
0.2172 0.6127 0.0073
0.3873 0.6045 0.6740
0.3955 0.7828 0.3406
0.1923 0.0595 0.7831
0.9405 0.1328 0.4498
0.8672 0.8077 0.1165
0.1906 0.1216 0.2064
0.8784 0.0690 0.8731
0.9310 0.8094 0.5398
0.6149 0.4032 0.1377
0.5968 0.2117 0.8044
0.7883 0.3851 0.4710
0.6104 0.2716 0.3217
0.7284 0.3388 0.9884
0.6612 0.3896 0.6551
0.5300 0.7959 0.2176
0.2041 0.7342 0.8843
0.2658 0.4700 0.5509
0.5185 0.7282 0.7954
0.2718 0.7903 0.4621
0.2097 0.4815 0.1287
0.9492 0.9396 0.3300
0.0604 0.0096 0.9967
0.9904 0.0508 0.6634
0.9489 0.0717 0.1501
0.9283 0.8771 0.8167
0.1229 0.0511 0.4834
0.8526 0.4605 0.1997
0.5395 0.3921 0.8664
0.6079 0.1474 0.5331
0.8637 0.4039 0.7764
0.5961 0.4598 0.4431
0.5402 0.1363 0.1097
0.2599 0.7130 0.1924
0.2870 0.5468 0.8590
0.4532 0.7401 0.5257
0.3357 0.6062 0.3372
0.3938 0.7295 0.0039
0.2705 0.6643 0.6705
0.0362 0.2671 0.7291
0.7329 0.7691 0.3957
0.2309 0.9638 0.0624
0.0877 0.2758 0.2389
0.7242 0.8119 0.9056
0.1881 0.9123 0.5722
0.0236 0.7746 0.2710
0.2254 0.2490 0.9376
0.7510 0.9764 0.6043
0.7318 0.9248 0.0932
0.0752 0.8071 0.7599
0.1929 0.2682 0.4265
0.7411 0.6068 0.2339
0.3932 0.1343 0.9006
0.8657 0.2589 0.5673
0.6890 0.5957 0.7271
0.4043 0.0933 0.3938
0.9067 0.3110 0.0604
0.3976 0.2457 0.0881
0.7543 0.1519 0.7548
0.8481 0.6024 0.4214
0.7030 0.1164 0.2690
0.8836 0.5865 0.9356
0.4135 0.2970 0.6023
0.3632 0.4277 0.2651
0.5723 0.9355 0.9318
0.0645 0.6368 0.5984
0.0576 0.5881 0.0890
0.4119 0.4695 0.7557
0.5305 0.9424 0.4223
0.4169 0.9329 0.2346
0.0671 0.4839 0.9012
0.5161 0.5831 0.5679
0.3631 0.9124 0.7228
0.0876 0.4508 0.3895
0.5492 0.6369 0.0561


Record 4
PBE BaCaAg4O8, relaxed; volume = 16.56 Å³ per atom; calculated total energy = -4.448 eV/atom
1.0
-4.4960 2.8213 -2.4867
0.5435 -5.7995 -0.6544
-4.2611 -1.1247 6.4281
Ba Ca Ag O
1 1 4 8
Direct
0.0000 0.0000 0.0000
0.0000 0.0000 0.5000
0.3333 0.6667 0.7372
0.6667 0.3333 0.7372
0.3333 0.6667 0.2628
0.6667 0.3333 0.2628
0.2935 0.2935 0.7052
0.7065 0.0000 0.7052
0.0000 0.7065 0.7052
0.7065 0.7065 0.2948
0.0000 0.2935 0.2948
0.2935 0.0000 0.2948
0.3333 0.6667 0.0000
0.6667 0.3333 0.0000


Record 5
PBE Hf6Co16Ge7, relaxed; volume = 13.16 Å³ per atom; calculated total energy = -7.575 eV/atom
1.0
7.8572 1.8889 0.9886
2.1108 6.3069 4.6956
3.6277 -1.2989 7.1717
Hf Co Ge
6 16 7
Direct
0.2028 0.7972 0.7972
0.7972 0.7972 0.2028
0.7972 0.2028 0.2028
0.2028 0.2028 0.7972
0.7972 0.2028 0.7972
0.2028 0.7972 0.2028
0.6205 0.6205 0.1385
0.1689 0.4934 0.1689
0.8615 0.3795 0.3795
0.5066 0.8311 0.8311
0.4934 0.1689 0.1689
0.8311 0.8311 0.5066
0.1689 0.1689 0.4934
0.1385 0.6205 0.6205
0.1689 0.1689 0.1689
0.3795 0.3795 0.8615
0.6205 0.6205 0.6205
0.3795 0.8615 0.3795
0.3795 0.3795 0.3795
0.8311 0.8311 0.8311
0.6205 0.1385 0.6205
0.8311 0.5066 0.8311
0.5000 0.0000 0.5000
0.5000 0.5000 0.0000
0.5000 0.5000 0.5000
0.0000 0.0000 0.5000
0.0000 0.5000 0.0000
0.0000 0.5000 0.5000
0.5000 0.0000 0.0000


Record 6
PBE Ag2Se, relaxed; volume = 22.27 Å³ per atom; calculated total energy = -2.995 eV/atom
1.0
-2.6929 -0.2504 2.9046
-2.2927 -3.1607 -2.3981
3.9522 -5.3003 3.2072
Ag Se
4 2
Direct
0.5000 0.0000 0.1029
0.0000 0.5000 0.6120
0.5000 0.5000 0.8971
0.0000 0.0000 0.3880
0.5000 0.5000 0.2945
0.5000 0.0000 0.7055


Record 7
PBE Nd4CdNi, relaxed; volume = 27.95 Å³ per atom; calculated total energy = -4.535 eV/atom
1.0
-5.8921 3.9996 6.7703
-9.7421 -1.0576 -0.7233
-4.8020 -5.7568 6.3522
Nd Cd Ni
16 4 4
Direct
0.5965 0.5965 0.5965
0.5965 0.5965 0.2105
0.5965 0.2105 0.5965
0.2105 0.5965 0.5965
0.0594 0.4406 0.4406
0.4406 0.0594 0.0594
0.4406 0.0594 0.4406
0.0594 0.4406 0.0594
0.4406 0.4406 0.0594
0.0594 0.0594 0.4406
0.1857 0.8143 0.8143
0.8143 0.1857 0.1857
0.8143 0.1857 0.8143
0.1857 0.8143 0.1857
0.8143 0.8143 0.1857
0.1857 0.1857 0.8143
0.8292 0.8292 0.8292
0.8292 0.8292 0.5124
0.8292 0.5124 0.8292
0.5124 0.8292 0.8292
0.3915 0.3915 0.3915
0.3915 0.3915 0.8256
0.3915 0.8256 0.3915
0.8256 0.3915 0.3915


Record 8
PBE Al4B2O9, relaxed; volume = 10.18 Å³ per atom; relative energy among the computed polymorphs = 0.281 eV/atom
1.0
2.8837 0.0000 0.0000
0.0000 7.8437 -0.7108
0.0000 -0.4987 6.7937
Al B O
4 2 9
Direct
0.0000 0.0000 0.0000
0.0000 0.5000 0.5000
0.5000 0.3336 0.8182
0.5000 0.6664 0.1818
0.5000 0.2202 0.2354
0.5000 0.7798 0.7646
0.0000 0.1332 0.2500
0.0000 0.6763 0.3301
0.0000 0.3237 0.6699
0.5000 0.5000 0.0000
0.5000 0.3810 0.3508
0.5000 0.1595 0.9821
0.5000 0.6190 0.6492
0.5000 0.8405 0.0179
0.0000 0.8668 0.7500


Record 9
PBE LuScZn2, relaxed; volume = 20.12 Å³ per atom; calculated total energy = -3.707 eV/atom
1.0
-0.6660 0.0614 4.8001
-3.8047 -2.2843 1.9480
0.6661 -4.0413 2.5908
Lu Sc Zn
1 1 2
Direct
0.5000 0.5000 0.5000
0.0000 0.0000 0.0000
0.2500 0.2500 0.2500
0.7500 0.7500 0.7500


Record 10
PBE VCrN2, relaxed; volume = 8.91 Å³ per atom; calculated total energy = -9.551 eV/atom
1.0
-2.1104 -2.1104 0.0000
0.0000 2.1104 -2.1104
1.9631 -1.9631 -4.0735
V Cr N
1 1 2
Direct
0.5000 0.0000 0.5000
0.0000 0.0000 0.0000
0.2516 0.5032 0.2452
0.7484 0.4968 0.7548


Record 11
PBE Mg6TiCu, relaxed; volume = 20.16 Å³ per atom; relative energy among the computed polymorphs = 0.000 eV/atom
1.0
-4.5260 -0.4759 1.6897
-1.8527 -1.9710 -5.5178
2.1588 -10.1862 2.9137
Mg Ti Cu
12 2 2
Direct
0.0000 0.7423 0.0865
0.0000 0.2577 0.0865
0.0000 0.0000 0.3318
0.5000 0.2595 0.4176
0.5000 0.7405 0.4176
0.5000 0.0000 0.1661
0.0000 0.2423 0.5865
0.0000 0.7577 0.5865
0.0000 0.5000 0.8318
0.5000 0.7595 0.9176
0.5000 0.2405 0.9176
0.5000 0.5000 0.6661
0.5000 0.5000 0.1776
0.5000 0.0000 0.6776
0.0000 0.5000 0.3162
0.0000 0.0000 0.8162


Record 12
PBE Y2IrRh, relaxed; volume = 20.36 Å³ per atom; calculated total energy = -8.128 eV/atom
1.0
-2.9868 -3.3916 1.8029
-3.5156 -1.8778 -2.7909
0.3227 -4.5999 -1.5529
Y Ir Rh
2 1 1
Direct
0.7500 0.7500 0.7500
0.2500 0.2500 0.2500
0.5000 0.5000 0.5000
0.0000 0.0000 0.0000


Record 13
PBE Na2YCuF6, relaxed; volume = 16.68 Å³ per atom; calculated total energy = -5.158 eV/atom
1.0
1.3518 -2.2001 5.6127
-3.9975 0.7381 4.6525
-3.0761 -4.8710 2.2319
Na Y Cu F
2 1 1 6
Direct
0.2500 0.2500 0.2500
0.7500 0.7500 0.7500
0.0000 0.0000 0.0000
0.5000 0.5000 0.5000
0.2481 0.2481 0.7519
0.2481 0.7519 0.7519
0.7519 0.7519 0.2481
0.2481 0.7519 0.2481
0.7519 0.2481 0.7519
0.7519 0.2481 0.2481


Record 14
PBE Zn3P2O8, relaxed; volume = 12.24 Å³ per atom; relative energy among the computed polymorphs = 0.026 eV/atom
1.0
-9.0382 1.8789 -0.4616
-1.5647 -8.0265 -2.0324
-1.4341 -5.1580 7.0859
Zn P O
12 8 32
Direct
0.8918 0.0150 0.1290
0.6082 0.0150 0.6290
0.3918 0.9850 0.3710
0.2327 0.4163 0.9669
0.6116 0.2917 0.9480
0.3884 0.7083 0.0520
0.7327 0.5837 0.5331
0.2673 0.4163 0.4669
0.1116 0.7083 0.5520
0.8884 0.2917 0.4480
0.7673 0.5837 0.0331
0.1082 0.9850 0.8710
0.8856 0.8571 0.6813
0.1144 0.1429 0.3187
0.4384 0.6448 0.6913
0.0616 0.6448 0.1913
0.6144 0.8571 0.1813
0.9384 0.3552 0.8087
0.3856 0.1429 0.8187
0.5616 0.3552 0.3087
0.3995 0.2511 0.9262
0.9265 0.5323 0.1983
0.1160 0.6065 0.3689
0.2765 0.2249 0.6792
0.8995 0.7489 0.5738
0.4584 0.8727 0.2342
0.6828 0.0397 0.0808
0.4779 0.8395 0.6046
0.9584 0.1273 0.2658
0.0735 0.4677 0.8017
0.6853 0.3915 0.4092
0.0221 0.8395 0.1046
0.4265 0.4677 0.3017
0.0416 0.8727 0.7342
0.1005 0.2511 0.4262
0.5221 0.1605 0.3954
0.7235 0.7751 0.3208
0.2235 0.2249 0.1792
0.3172 0.9603 0.9192
0.3840 0.6065 0.8689
0.7765 0.7751 0.8208
0.8172 0.0397 0.5808
0.6160 0.3935 0.1311
0.9779 0.1605 0.8954
0.6005 0.7489 0.0738
0.1853 0.6085 0.0908
0.1828 0.9603 0.4192
0.5416 0.1273 0.7658
0.8840 0.3935 0.6311
0.5735 0.5323 0.6983
0.3147 0.6085 0.5908
0.8147 0.3915 0.9092


Record 15
PBE ZrGa6Fe3Co3, relaxed; volume = 13.75 Å³ per atom; calculated total energy = -5.953 eV/atom
1.0
4.9784 0.0000 0.0000
2.4319 5.9860 0.0000
2.4430 0.2004 5.9984
Zr Ga Fe Co
1 6 3 3
Direct
0.0000 0.0000 0.0000
0.6752 0.8289 0.8239
0.3248 0.1711 0.1761
0.0031 0.6665 0.3375
0.9969 0.3335 0.6625
0.6619 0.3385 0.3437
0.3381 0.6615 0.6563
0.5000 0.0000 0.5000
0.0000 0.5000 0.0000
0.5000 0.5000 0.0000
0.4890 0.2478 0.7578
0.5110 0.7522 0.2422
0.0000 0.0000 0.5000